A plane-wave DFT calculation with PBE-GGA was carried out for a relaxed Dy5S7 crystal.

E (MP2020), eV/cell: -80.331
Calculated volume, Å³/cell: 275.6
ΔH_f (0 K), eV/atom: -2.362
Crystal system: monoclinic
Symmetry: C2/m (12)

Cell lengths 3.8149, 6.7037, 11.6137 Å; angles 103.97, 90.00, 106.53 degrees
Sites, in units of the cell vectors:
Dy (0.0000, 0.0000, 0.0000)
Dy (0.8878, 0.7757, 0.5788)
Dy (0.1122, 0.2243, 0.4212)
Dy (0.6993, 0.3986, 0.8122)
Dy (0.3007, 0.6014, 0.1878)
S (0.5000, 0.0000, 0.5000)
S (0.3407, 0.6815, 0.9492)
S (0.6593, 0.3185, 0.0508)
S (0.0412, 0.0824, 0.7849)
S (0.9588, 0.9176, 0.2151)
S (0.7408, 0.4816, 0.3521)
S (0.2592, 0.5184, 0.6479)